No. 1
AlB3H12 after structural relaxation, computed with GGA-PBE.

Cell lengths 6.377, 6.472, 18.612 Å; angles 90.00, 90.00, 90.00 degrees
Fractional positions:
1 Al 0.290 0.344 0.630
2 H 0.288 0.071 0.638
3 H 0.511 0.834 0.871
4 H 0.446 0.131 0.887
5 H 0.946 0.869 0.113
6 Al 0.790 0.844 0.870
7 H 0.701 0.475 0.435
8 H 0.848 0.479 0.962
9 H 0.789 0.862 0.775
10 H 0.090 0.586 0.255
11 H 0.479 0.966 0.155
12 H 0.090 0.914 0.755
13 H 0.584 0.500 0.116
14 B 0.427 0.066 0.589
15 H 0.084 0.500 0.884
16 B 0.515 0.519 0.417
17 B 0.927 0.566 0.911
18 H 0.590 0.414 0.745
19 H 0.011 0.334 0.629
20 H 0.789 0.638 0.275
21 H 0.979 0.466 0.345
22 B 0.427 0.434 0.089
23 H 0.472 0.246 0.566
24 H 0.933 0.413 0.530
25 B 0.436 0.006 0.220
26 B 0.015 0.019 0.083
27 H 0.084 0.000 0.384
28 Al 0.790 0.656 0.370
29 H 0.972 0.754 0.434
30 H 0.848 0.021 0.462
31 H 0.472 0.254 0.066
32 B 0.936 0.994 0.780
33 H 0.590 0.086 0.245
34 H 0.788 0.929 0.362
35 B 0.015 0.481 0.583
36 H 0.011 0.166 0.129
37 H 0.201 0.975 0.065
38 B 0.515 0.981 0.917
39 H 0.348 0.521 0.038
40 H 0.433 0.913 0.970
41 H 0.701 0.025 0.935
42 H 0.348 0.979 0.538
43 B 0.927 0.934 0.411
44 H 0.511 0.666 0.371
45 H 0.946 0.631 0.613
46 Al 0.290 0.156 0.130
47 H 0.867 0.151 0.755
48 B 0.936 0.506 0.280
49 H 0.288 0.429 0.138
50 H 0.979 0.034 0.845
51 H 0.933 0.087 0.030
52 H 0.479 0.534 0.655
53 H 0.446 0.369 0.387
54 H 0.867 0.349 0.255
55 H 0.367 0.651 0.745
56 B 0.436 0.494 0.720
57 H 0.972 0.746 0.934
58 H 0.584 0.000 0.616
59 H 0.289 0.138 0.225
60 H 0.788 0.571 0.862
61 H 0.289 0.362 0.725
62 H 0.201 0.525 0.565
63 H 0.367 0.849 0.245
64 H 0.433 0.587 0.470

## Properties
- Calculated formation energy: -0.216 eV per atom
- Piezoelectric modulus e_max: 0.0 C/m2

***

No. 2
Li2AlB5H38N6 after structural relaxation, computed with GGA-PBE.

Cell lengths 7.794, 7.794, 15.904 Å; angles 90.00, 90.00, 120.00 degrees
Fractional positions:
1 N 0.174 0.240 0.573
2 N 0.934 0.174 0.427
3 H 0.103 0.585 0.204
4 H 0.632 0.171 0.072
5 H 0.368 0.829 0.928
6 Al 0.000 0.000 0.500
7 H 0.941 0.694 0.587
8 H 0.232 0.338 0.294
9 H 0.338 0.106 0.706
10 H 0.461 0.829 0.428
11 H 0.662 0.768 0.794
12 B 0.333 0.667 0.454
13 H 0.667 0.333 0.968
14 H 0.113 0.867 0.130
15 N 0.826 0.760 0.427
16 N 0.240 0.174 0.927
17 H 0.632 0.461 0.572
18 H 0.585 0.482 0.796
19 H 0.897 0.482 0.296
20 H 0.894 0.662 0.206
21 H 0.867 0.113 0.370
22 B 0.667 0.333 0.046
23 H 0.133 0.887 0.630
24 H 0.482 0.585 0.704
25 N 0.066 0.240 0.073
26 H 0.133 0.246 0.130
27 H 0.662 0.894 0.294
28 H 0.247 0.941 0.413
29 H 0.867 0.754 0.870
30 N 0.934 0.760 0.927
31 H 0.333 0.667 0.532
32 H 0.887 0.754 0.370
33 Li 0.667 0.333 0.715
34 H 0.829 0.461 0.072
35 H 0.461 0.632 0.928
36 B 0.623 0.623 0.750
37 B 0.333 0.667 0.954
38 H 0.482 0.897 0.204
39 H 0.754 0.887 0.130
40 H 0.306 0.059 0.087
41 H 0.306 0.247 0.587
42 H 0.059 0.753 0.913
43 H 0.694 0.753 0.413
44 H 0.539 0.368 0.072
45 B 0.000 0.377 0.750
46 N 0.760 0.826 0.073
47 Li 0.333 0.667 0.785
48 B 0.623 0.000 0.250
49 H 0.667 0.333 0.468
50 N 0.826 0.066 0.927
51 H 0.246 0.113 0.870
52 H 0.246 0.133 0.370
53 B 0.377 0.377 0.250
54 H 0.585 0.103 0.296
55 H 0.753 0.694 0.087
56 H 0.887 0.133 0.870
57 H 0.106 0.338 0.794
58 H 0.415 0.897 0.704
59 H 0.518 0.103 0.796
60 H 0.784 0.625 0.455
61 H 0.171 0.632 0.428
62 H 0.171 0.539 0.928
63 B 0.667 0.333 0.546
64 H 0.897 0.415 0.796
65 H 0.106 0.768 0.294
66 H 0.625 0.784 0.045
67 H 0.159 0.375 0.045
68 H 0.518 0.415 0.296
69 H 0.753 0.059 0.587
70 H 0.625 0.841 0.545
71 H 0.768 0.662 0.706
72 H 0.841 0.216 0.455
73 H 0.539 0.171 0.572
74 H 0.415 0.518 0.204
75 H 0.333 0.667 0.032
76 N 0.760 0.934 0.573
77 H 0.247 0.306 0.913
78 B 0.377 0.000 0.750
79 H 0.159 0.784 0.545
80 H 0.829 0.368 0.572
81 H 0.784 0.159 0.955
82 N 0.066 0.826 0.573
83 Al 0.000 0.000 0.000
84 H 0.216 0.375 0.545
85 H 0.841 0.625 0.955
86 H 0.338 0.232 0.206
87 B 0.000 0.623 0.250
88 H 0.059 0.306 0.413
89 H 0.375 0.159 0.455
90 N 0.240 0.066 0.427
91 H 0.368 0.539 0.428
92 H 0.113 0.246 0.630
93 H 0.375 0.216 0.955
94 H 0.216 0.841 0.045
95 H 0.768 0.106 0.206
96 H 0.941 0.247 0.087
97 Li 0.333 0.667 0.285
98 Li 0.667 0.333 0.215
99 H 0.894 0.232 0.706
100 H 0.103 0.518 0.704
101 H 0.754 0.867 0.630
102 H 0.232 0.894 0.794
103 N 0.174 0.934 0.073
104 H 0.694 0.941 0.913

## Properties
- Calculated formation energy: -0.364 eV per atom
- Magnetic moment: 0.00 Bohr magnetons per cell

***

No. 3
AlB3H14N after structural relaxation, computed with GGA-PBE.

Cell lengths 11.406, 11.276, 14.824 Å; angles 53.12, 90.00, 90.00 degrees
Fractional positions:
1 H 0.078 0.818 0.034
2 H 0.398 0.340 0.133
3 Al 0.168 0.316 0.917
4 H 0.747 0.520 0.286
5 H 0.953 0.227 0.692
6 N 0.770 0.624 0.713
7 H 0.191 0.938 0.824
8 H 0.309 0.938 0.324
9 B 0.556 0.898 0.234
10 H 0.714 0.408 0.158
11 H 0.922 0.182 0.966
12 H 0.958 0.730 0.992
13 H 0.919 0.344 0.499
14 H 0.999 0.384 0.366
15 H 0.102 0.340 0.633
16 H 0.547 0.227 0.192
17 B 0.260 0.083 0.522
18 H 0.564 0.974 0.129
19 H 0.695 0.005 0.387
20 H 0.833 0.876 0.053
21 B 0.063 0.217 0.688
22 H 0.602 0.660 0.867
23 B 0.077 0.691 0.566
24 H 0.936 0.974 0.629
25 H 0.625 0.488 0.643
26 B 0.423 0.691 0.066
27 H 0.594 0.874 0.716
28 H 0.538 0.165 0.743
29 H 0.274 0.189 0.022
30 B 0.577 0.309 0.934
31 H 0.642 0.820 0.274
32 H 0.173 0.683 0.603
33 H 0.436 0.026 0.871
34 B 0.056 0.102 0.266
35 H 0.144 0.379 0.306
36 H 0.533 0.676 0.654
37 H 0.453 0.773 0.808
38 H 0.458 0.270 0.508
39 H 0.094 0.126 0.784
40 H 0.467 0.324 0.346
41 H 0.142 0.180 0.226
42 H 0.328 0.044 0.001
43 H 0.948 0.975 0.769
44 H 0.064 0.026 0.371
45 H 0.410 0.165 0.135
46 H 0.047 0.773 0.308
47 H 0.358 0.180 0.726
48 H 0.828 0.956 0.499
49 N 0.769 0.118 0.649
50 H 0.766 0.698 0.732
51 H 0.501 0.384 0.866
52 H 0.809 0.062 0.176
53 H 0.375 0.512 0.357
54 B 0.944 0.898 0.734
55 Al 0.332 0.316 0.417
56 H 0.962 0.165 0.243
57 H 0.753 0.611 0.522
58 H 0.044 0.822 0.519
59 B 0.210 0.516 0.909
60 H 0.253 0.389 0.978
61 H 0.195 0.995 0.113
62 H 0.125 0.512 0.857
63 H 0.038 0.835 0.757
64 H 0.580 0.405 0.398
65 H 0.033 0.324 0.846
66 H 0.090 0.165 0.635
67 B 0.790 0.484 0.091
68 Al 0.563 0.145 0.118
69 H 0.172 0.044 0.501
70 H 0.578 0.182 0.466
71 H 0.910 0.835 0.365
72 H 0.956 0.178 0.481
73 H 0.920 0.405 0.898
74 H 0.406 0.126 0.284
75 H 0.691 0.062 0.676
76 H 0.328 0.546 0.468
77 H 0.774 0.811 0.478
78 H 0.753 0.520 0.786
79 B 0.240 0.083 0.022
80 H 0.080 0.595 0.102
81 Al 0.832 0.684 0.083
82 H 0.420 0.595 0.602
83 H 0.856 0.621 0.694
84 H 0.286 0.592 0.842
85 B 0.290 0.516 0.409
86 H 0.858 0.820 0.774
87 H 0.247 0.480 0.214
88 Al 0.437 0.855 0.882
89 H 0.906 0.874 0.216
90 H 0.214 0.592 0.342
91 N 0.730 0.624 0.213
92 H 0.672 0.454 0.532
93 H 0.673 0.317 0.897
94 H 0.581 0.344 0.999
95 B 0.740 0.917 0.478
96 H 0.266 0.302 0.768
97 H 0.805 0.005 0.887
98 H 0.167 0.124 0.947
99 H 0.726 0.811 0.978
100 H 0.499 0.616 0.134
101 B 0.923 0.309 0.434
102 H 0.462 0.835 0.257
103 H 0.419 0.656 0.001
104 B 0.563 0.783 0.812
105 N 0.231 0.882 0.351
106 H 0.672 0.956 0.999
107 H 0.734 0.698 0.232
108 B 0.475 0.705 0.570
109 H 0.644 0.621 0.194
110 B 0.760 0.917 0.978
111 H 0.456 0.822 0.019
112 H 0.875 0.488 0.143
113 H 0.667 0.876 0.553
114 H 0.234 0.302 0.268
115 Al 0.937 0.145 0.618
116 H 0.747 0.611 0.022
117 H 0.542 0.730 0.492
118 H 0.247 0.389 0.478
119 H 0.081 0.656 0.501
120 H 0.422 0.818 0.534
121 B 0.710 0.484 0.591
122 B 0.444 0.102 0.766
123 H 0.827 0.317 0.397
124 B 0.975 0.295 0.930
125 N 0.270 0.376 0.787
126 N 0.731 0.118 0.149
127 H 0.305 0.995 0.613
128 H 0.172 0.546 0.968
129 Al 0.063 0.855 0.382
130 H 0.544 0.178 0.981
131 N 0.230 0.376 0.287
132 B 0.525 0.295 0.430
133 Al 0.668 0.684 0.583
134 H 0.448 0.025 0.731
135 H 0.253 0.480 0.714
136 H 0.226 0.189 0.522
137 H 0.967 0.676 0.154
138 H 0.042 0.270 0.008
139 H 0.552 0.975 0.269
140 H 0.786 0.408 0.658
141 H 0.356 0.379 0.806
142 B 0.025 0.705 0.070
143 B 0.437 0.217 0.188
144 H 0.333 0.124 0.447
145 H 0.052 0.025 0.231
146 H 0.001 0.616 0.634
147 H 0.828 0.454 0.032
148 B 0.937 0.783 0.312
149 N 0.269 0.882 0.851
150 H 0.327 0.683 0.103
151 H 0.590 0.835 0.865
152 H 0.898 0.660 0.367

## Properties
- Calculated formation energy: -0.052 eV per atom
- Magnetic moment: 0.00 Bohr magnetons per cell
- ΔE to the lowest computed polymorph: 0.016 eV per atom

***

Q: Which formula does entry 2 have?
A: Li2AlB5H38N6

***

Q: The highest calculated formation energy belongs to which entry?
A: AlB3H14N